## w
Sr2MgTi6N2O11: optimized geometry, PBE.

Cell lengths 15.144, 3.918, 9.416 Å; angles 90.00, 95.63, 90.00 degrees
Space group Cm (No. 8)
Symmetry-distinct sites (fractional):
Sr (0.000, 0.000, 0.000)
Sr (0.085, 0.000, 0.504)
Mg (0.316, 0.500, 0.770)
Ti (0.138, 0.500, 0.816)
Ti (0.202, 0.500, 0.161)
Ti (0.263, 0.500, 0.478)
Ti (0.287, 0.000, 0.989)
Ti (0.362, 0.000, 0.307)
Ti (0.407, 0.000, 0.616)
N (0.195, 0.500, 0.647)
N (0.296, 0.000, 0.483)
O (0.024, 0.500, 0.742)
O (0.097, 0.500, 0.051)
O (0.155, 0.000, 0.869)
O (0.159, 0.500, 0.352)
O (0.228, 0.000, 0.177)
O (0.270, 0.500, 0.966)
O (0.337, 0.500, 0.289)
O (0.349, 0.000, 0.805)
O (0.398, 0.000, 0.100)
O (0.402, 0.500, 0.620)
O (0.467, 0.000, 0.433)

---

## x
Sr2MgTi6N2O11: optimized geometry, PBE.

Cell lengths 3.891, 7.572, 10.001 Å; angles 75.75, 88.30, 76.39 degrees
Space group P1 (No. 1)
Symmetry-distinct sites (fractional):
Sr (0.000, 0.000, 0.000)
Sr (0.085, 0.853, 0.367)
Mg (0.299, 0.807, 0.707)
Ti (0.329, 0.366, 0.056)
Ti (0.373, 0.207, 0.399)
Ti (0.423, 0.179, 0.752)
Ti (0.709, 0.644, 0.954)
Ti (0.742, 0.519, 0.246)
Ti (0.791, 0.454, 0.585)
N (0.395, 0.231, 0.922)
N (0.814, 0.390, 0.096)
O (0.213, 0.637, 0.921)
O (0.254, 0.491, 0.263)
O (0.319, 0.388, 0.574)
O (0.392, 0.985, 0.529)
O (0.435, 0.108, 0.249)
O (0.553, 0.914, 0.827)
O (0.633, 0.763, 0.109)
O (0.686, 0.641, 0.414)
O (0.730, 0.604, 0.703)
O (0.844, 0.269, 0.404)
O (0.917, 0.185, 0.718)

---

How do the energies compare? Relative to the most stable structure, in meV per atom: w 0; x 53.

---

## w
Sr2MgTi6N2O11: optimized geometry, PBE.

Cell lengths 3.959, 7.842, 9.175 Å; angles 93.31, 90.30, 103.35 degrees
Space group P1 (No. 1)
Symmetry-distinct sites (fractional):
Sr (0.000, 0.000, 0.000)
Sr (0.137, 0.283, 0.623)
Mg (0.204, 0.334, 0.198)
Ti (0.356, 0.682, 0.054)
Ti (0.451, 0.878, 0.388)
Ti (0.483, 0.945, 0.730)
Ti (0.733, 0.421, 0.945)
Ti (0.814, 0.580, 0.282)
Ti (0.856, 0.672, 0.608)
N (0.423, 0.822, 0.896)
N (0.841, 0.648, 0.076)
O (0.229, 0.408, 0.983)
O (0.314, 0.579, 0.281)
O (0.383, 0.728, 0.583)
O (0.463, 0.917, 0.191)
O (0.541, 0.078, 0.502)
O (0.609, 0.178, 0.832)
O (0.696, 0.317, 0.176)
O (0.768, 0.472, 0.478)
O (0.789, 0.523, 0.763)
O (0.920, 0.812, 0.400)
O (0.982, 0.941, 0.702)

---

## x
Sr2MgTi6N2O11: optimized geometry, PBE.

Cell lengths 3.932, 7.637, 9.641 Å; angles 98.27, 90.00, 104.91 degrees
Space group P1 (No. 1)
Symmetry-distinct sites (fractional):
Sr (0.000, 0.000, 0.000)
Sr (0.021, 0.048, 0.360)
Mg (0.589, 0.184, 0.647)
Ti (0.302, 0.606, 0.104)
Ti (0.356, 0.713, 0.431)
Ti (0.403, 0.806, 0.766)
Ti (0.672, 0.344, 0.930)
Ti (0.702, 0.407, 0.282)
Ti (0.783, 0.566, 0.616)
N (0.306, 0.613, 0.605)
N (0.715, 0.431, 0.768)
O (0.171, 0.343, 0.983)
O (0.230, 0.462, 0.293)
O (0.376, 0.752, 0.949)
O (0.408, 0.817, 0.237)
O (0.478, 0.958, 0.521)
O (0.542, 0.086, 0.840)
O (0.590, 0.182, 0.179)
O (0.660, 0.322, 0.472)
O (0.775, 0.550, 0.099)
O (0.843, 0.687, 0.413)
O (0.910, 0.821, 0.745)

---

## y
Sr2MgTi6N2O11: optimized geometry, PBE.

Cell lengths 15.540, 3.802, 10.700 Å; angles 90.00, 107.54, 90.00 degrees
Space group Cm (No. 8)
Symmetry-distinct sites (fractional):
Sr (0.000, 0.000, 0.000)
Sr (0.070, 0.000, 0.588)
Mg (0.469, 0.000, 0.250)
Ti (0.151, 0.500, 0.901)
Ti (0.156, 0.500, 0.317)
Ti (0.262, 0.500, 0.657)
Ti (0.286, 0.000, 0.105)
Ti (0.315, 0.000, 0.451)
Ti (0.401, 0.000, 0.723)
N (0.170, 0.500, 0.739)
N (0.262, 0.000, 0.601)
O (0.025, 0.500, 0.860)
O (0.065, 0.500, 0.162)
O (0.076, 0.500, 0.415)
O (0.163, 0.000, 0.958)
O (0.186, 0.000, 0.307)
O (0.253, 0.500, 0.083)
O (0.288, 0.500, 0.440)
O (0.355, 0.000, 0.285)
O (0.386, 0.000, 0.055)
O (0.387, 0.500, 0.774)
O (0.442, 0.000, 0.574)

---

## z
Sr2MgTi6N2O11: optimized geometry, PBE.

Cell lengths 3.917, 7.761, 9.984 Å; angles 106.16, 90.06, 97.30 degrees
Space group P1 (No. 1)
Symmetry-distinct sites (fractional):
Sr (0.000, 0.000, 0.000)
Sr (0.322, 0.236, 0.363)
Mg (0.890, 0.022, 0.595)
Ti (0.314, 0.571, 0.992)
Ti (0.328, 0.806, 0.329)
Ti (0.451, 0.792, 0.728)
Ti (0.734, 0.318, 0.837)
Ti (0.776, 0.480, 0.192)
Ti (0.888, 0.528, 0.579)
N (0.406, 0.755, 0.897)
N (0.802, 0.530, 0.006)
O (0.241, 0.322, 0.870)
O (0.292, 0.544, 0.202)
O (0.327, 0.923, 0.203)
O (0.373, 0.995, 0.499)
O (0.389, 0.552, 0.575)
O (0.643, 0.056, 0.790)
O (0.653, 0.238, 0.127)
O (0.824, 0.756, 0.342)
O (0.825, 0.321, 0.649)
O (0.854, 0.420, 0.386)
O (0.954, 0.793, 0.668)

---

How do the energies compare? Relative to the most stable structure, in meV per atom: w 52; x 7; y 0; z 35.

---

## w
MgTa2N3: optimized geometry, PBE.

Cell lengths 3.092, 4.335, 9.377 Å; angles 90.00, 90.00, 90.00 degrees
Space group Immm (No. 71)
Symmetry-distinct sites (fractional):
Mg (0.000, 0.000, 0.000)
Ta (0.000, 0.000, 0.333)
N (0.000, 0.500, 0.000)
N (0.000, 0.500, 0.339)

---

## x
MgTa2N3: optimized geometry, PBE.

Cell lengths 5.2486, 5.2486, 10.4834 Å; angles 90.00, 90.00, 120.00 degrees
Space group P6_3/mcm (No. 193)
Symmetry-distinct sites (fractional):
Mg (0.3333, 0.6667, 0.0000)
Ta (0.0000, 0.0000, 0.0000)
Ta (0.0000, 0.3358, 0.2500)
N (0.0000, 0.3297, 0.6202)

---

How do the energies compare? Relative to the most stable structure, in meV per atom: w 138; x 0.

---

## w
NaMg6Nb: optimized geometry, PBE.

Cell lengths 4.522, 8.887, 8.898 Å; angles 90.00, 90.00, 90.00 degrees
Space group Amm2 (No. 38)
Symmetry-distinct sites (fractional):
Na (0.000, 0.000, 0.000)
Mg (0.000, 0.247, 0.254)
Mg (0.500, 0.000, 0.274)
Mg (0.500, 0.000, 0.738)
Mg (0.500, 0.235, 0.506)
Nb (0.000, 0.000, 0.507)

---

## x
NaMg6Nb: optimized geometry, PBE.

Cell lengths 5.107, 6.400, 10.915 Å; angles 90.00, 90.00, 90.00 degrees
Space group Amm2 (No. 38)
Symmetry-distinct sites (fractional):
Na (0.000, 0.000, 0.000)
Mg (0.000, 0.000, 0.499)
Mg (0.000, 0.234, 0.755)
Mg (0.500, 0.000, 0.328)
Mg (0.500, 0.249, 0.583)
Nb (0.500, 0.000, 0.819)

---

How do the energies compare? Relative to the most stable structure, in meV per atom: w 0; x 94.